Entry from Materials Project: crystalline KCaPHO4 at its relaxed geometry (PBE-GGA).

The formation energy comes out at -228 kJ per mole of atoms. The value obtained for the density is 2.40 Mg/m³. The size of the total moment is 4.0 μB/cell.

Cell lengths 7.4269, 8.3469, 7.8658 Å; angles 90.00, 96.23, 90.00 degrees
Last column: nearest neighbours and their distance in Å.
Space group C2/m (No. 12)
Inequivalent atoms, fractional coordinates:
1 K 0.0000 0.2306 0.0000 (multiplicity 4)  8 O 2.81-3.10
2 Ca 0.0000 0.2179 0.5000 (multiplicity 4)  6 O 2.30-2.54
3 P 0.2336 0.0000 0.7474 (multiplicity 4)  4 O 1.53-1.58
4 H 0.1643 0.5000 0.6917 (multiplicity 4)  4 O 2.66-2.94
5 O 0.0227 0.0000 0.6944 (multiplicity 4)  1 P 1.58
6 O 0.1938 0.3456 0.3362 (multiplicity 8)  1 P 1.57
7 O 0.2256 0.5000 0.0581 (multiplicity 4)  1 P 1.53